Entry 1:
Entry from the Materials Project: a relaxed structure of Li2FeNi3O8 (GGA+U). Values from VASP.

Computed properties:
Polymorph energy (0 for the lowest one), meV/atom: 34.2

Cell and atoms, written as Quantum ESPRESSO input:
```
&SYSTEM
  ibrav = 0, nat = 28, ntyp = 4
/
ATOMIC_SPECIES
O 16.00 O.upf
Ni 58.69 Ni.upf
Fe 55.84 Fe.upf
Li 6.94 Li.upf
ATOMIC_POSITIONS angstrom
O 0.0917 0.0531 2.8958
O -1.4564 4.0854 5.6087
O -0.0489 3.2150 0.9655
O 2.9061 3.3664 0.9734
O 4.1661 2.3971 7.7174
O 0.0298 4.7159 3.0672
O 1.5354 4.1128 5.5805
O -1.2634 2.5383 3.0607
O 2.9355 0.1715 7.7699
O 1.2793 2.4912 3.1132
O 1.6336 2.3659 7.7240
O -0.0291 1.5631 5.6067
O 1.3865 0.7892 0.9451
O 2.8203 4.8660 7.5311
O 2.9728 1.6836 5.6222
O 4.3768 0.8692 0.9714
Ni 1.4501 4.0757 2.0006
Ni 4.2861 0.8491 6.6403
Ni 0.0171 1.6604 1.9836
Ni -1.3681 4.0667 1.9666
Ni 2.8948 3.2519 6.6233
Ni 1.4779 0.8158 6.6573
Fe 2.9191 1.6299 9.2296
Fe 0.0244 3.2346 4.5729
Li 0.0419 3.2391 8.2846
Li 2.8899 1.6458 3.6493
Li 2.9029 4.8996 9.2661
Li 0.0213 -0.0017 4.6307
CELL_PARAMETERS angstrom
5.7243 0.0481 0.0107
-2.8205 4.8852 -0.0214
0.0166 -0.0288 9.2920
```

Entry 2:
Entry from the Materials Project: a relaxed structure of FeOF (GGA+U). Values from VASP.

Computed properties:
Final energy, eV/atom: -6.015

Cell and atoms, written as Quantum ESPRESSO input:
```
&SYSTEM
  ibrav = 0, nat = 18, ntyp = 3
/
ATOMIC_SPECIES
O 16.00 O.upf
Fe 55.84 Fe.upf
F 19.00 F.upf
ATOMIC_POSITIONS angstrom
O 0.0000 3.3432 6.1516
O 1.5608 3.8679 8.5224
O 0.0000 1.3988 3.3227
O 0.0000 3.3667 10.9049
O 1.5608 3.8248 3.8000
O 1.5608 3.8337 13.3204
Fe 1.5608 2.6195 11.7480
Fe 0.0000 4.6160 9.3590
Fe 1.5608 2.6073 7.0016
Fe 1.5608 2.2892 2.6675
Fe 0.0000 4.6352 4.6434
Fe 0.0000 4.6430 14.1299
F 0.0000 1.4730 12.7655
F 0.0000 3.2868 1.4572
F 1.5608 0.9849 10.4030
F 1.5608 0.9561 5.7175
F 1.5608 0.9210 0.9021
F 0.0000 1.4915 8.0361
CELL_PARAMETERS angstrom
3.1217 0.0000 0.0000
0.0000 4.7431 0.0000
0.0000 0.0374 14.1950
```

Entry 3:
Entry from the Materials Project: a relaxed structure of Li2Fe3F8 (GGA+U). Values from VASP.

Computed properties:
Polymorph energy (0 for the lowest one), meV/atom: 40.2

Cell and atoms, written as Quantum ESPRESSO input:
```
&SYSTEM
  ibrav = 0, nat = 26, ntyp = 3
/
ATOMIC_SPECIES
Fe 55.84 Fe.upf
F 19.00 F.upf
Li 6.94 Li.upf
ATOMIC_POSITIONS angstrom
Fe 1.2542 3.4530 0.8283
Fe 7.2850 6.9738 7.1003
Fe 4.2696 2.9016 0.0000
Fe 0.0000 5.2134 3.9643
Fe 5.5238 4.6620 3.1360
Fe 3.0154 5.7649 4.7926
F 5.1732 3.1374 1.8800
F 0.9036 4.9776 2.0842
F 5.9758 8.5017 7.0882
F 1.2968 6.8456 4.2738
F 1.7062 4.2371 4.8047
F 2.9728 4.5337 0.3095
F 4.7246 4.6314 5.0383
F 7.2424 3.5813 3.6547
F 8.0842 2.3195 1.0740
F 3.3660 7.2895 6.0485
F 0.4550 8.1074 6.8546
F 6.8330 6.1898 3.1239
F 3.8146 5.7955 2.8903
F 5.5664 5.8932 7.6190
F 7.6356 5.4493 5.8443
F 2.5634 1.9252 0.8404
Li 2.5903 5.9718 1.5004
Li 5.9489 4.4551 6.4282
Li 1.6793 8.2837 5.4646
Li 6.8599 2.1432 2.4639
CELL_PARAMETERS angstrom
8.5392 0.0000 0.0000
0.0000 5.8031 0.0000
0.0000 4.6238 7.9286
```

Entry 4:
Entry from the Materials Project: a relaxed structure of MgVC2O6 (GGA+U). Values from VASP.

Computed properties:
Final energy, eV/atom: -7.544

Cell and atoms, written as Quantum ESPRESSO input:
```
&SYSTEM
  ibrav = 0, nat = 10, ntyp = 4
/
ATOMIC_SPECIES
O 16.00 O.upf
Mg 24.30 Mg.upf
C 12.01 C.upf
V 50.94 V.upf
ATOMIC_POSITIONS angstrom
O 3.4527 0.4947 3.0069
O 3.0549 1.2774 0.0640
O 0.6165 0.7977 1.8678
O 1.6946 2.9526 3.8982
O 1.2968 3.7353 0.9553
O 4.1330 3.4323 2.0945
Mg 0.0000 0.0000 0.0000
C 2.3744 1.5571 -1.0047
C 2.3752 2.6730 4.9669
V 2.3748 2.1150 1.9811
CELL_PARAMETERS angstrom
2.3745 1.0571 -3.9746
0.0002 4.2300 3.9620
2.3748 -1.0571 3.9748
```

Entry 5:
Entry from the Materials Project: a relaxed structure of Li2Cr3Si3O10 (GGA+U). Values from VASP.

Computed properties:
Final energy, eV/atom: -7.427

Cell and atoms, written as Quantum ESPRESSO input:
```
&SYSTEM
  ibrav = 0, nat = 36, ntyp = 4
/
ATOMIC_SPECIES
Li 6.94 Li.upf
Cr 52.00 Cr.upf
O 16.00 O.upf
Si 28.09 Si.upf
ATOMIC_POSITIONS angstrom
Li -9.0456 -0.1251 1.4653
Li -10.9523 -3.8438 5.5857
Li -8.5703 0.6664 -3.2817
Li -10.4771 -3.0523 0.8387
Cr -11.2388 -0.0262 -1.5962
Cr -3.5591 -1.4779 -1.8713
Cr -13.1594 -3.6498 2.5387
Cr -6.2022 -0.1107 3.0233
Cr -8.2838 -3.1512 3.9002
Cr -6.3633 0.4725 -0.2347
O -5.0607 -1.2288 4.4562
O -11.5259 -1.4146 -3.1838
O -11.9576 -1.4368 -0.2690
O -2.3376 -0.7701 2.9026
O -14.8907 -1.3653 -5.1264
O -11.4228 -1.4690 2.2890
O -7.9967 -1.7628 5.4878
O -13.8870 -1.9954 1.4143
O -4.6320 -1.8121 7.4304
O -17.1850 -2.4072 -0.5985
O -5.3382 -0.2325 -1.8839
O -16.8097 -2.6218 2.4319
O -7.5650 -1.7406 2.5730
O -10.5449 -1.7092 4.7014
O -14.1844 -2.9449 4.1879
O -8.0998 -1.7083 0.0150
O -8.9777 -1.4682 -2.3974
O -14.4620 -1.9485 -2.1522
O -2.7130 -0.5556 -0.1279
O -5.6356 -1.1819 0.8897
Si -12.6156 -1.0115 1.1910
Si -11.1325 -0.5625 3.6515
Si -9.4805 -1.2797 5.9345
Si -6.9070 -2.1659 1.1130
Si -8.3902 -2.6148 -1.3475
Si -10.0421 -1.8977 -3.6304
CELL_PARAMETERS angstrom
-7.8101 1.8233 -3.0151
-7.1182 -2.9559 -3.7426
-4.5943 -2.0448 9.0617
```

Entry 6:
Entry from the Materials Project: a relaxed structure of Li2Fe2P2O8F (GGA+U). Values from VASP.

Computed properties:
Final energy, eV/atom: -6.590

Cell and atoms, written as Quantum ESPRESSO input:
```
&SYSTEM
  ibrav = 0, nat = 60, ntyp = 5
/
ATOMIC_SPECIES
P 30.97 P.upf
O 16.00 O.upf
F 19.00 F.upf
Fe 55.84 Fe.upf
Li 6.94 Li.upf
ATOMIC_POSITIONS angstrom
P 3.3677 -1.7410 4.5313
P 7.4354 3.1512 6.3029
P 1.3684 0.5638 2.0389
P 5.7878 5.4498 2.5015
P 11.6540 4.2292 4.7850
P 9.2338 -2.9615 6.8148
P 13.6532 1.9244 7.2774
P 7.5862 -0.6629 3.0135
O 7.9578 4.4570 5.7502
O 6.4754 0.4186 2.9218
O 1.1110 0.2705 3.5561
O 3.5458 -0.4291 5.2599
O 13.1258 4.7925 4.5382
O 2.5768 3.3769 4.7846
O 6.9605 -0.7586 6.5531
O 9.7981 -1.5539 6.3202
O 6.8354 5.9527 3.4675
O 13.8970 3.3377 7.9758
O 8.1316 -5.7765 3.6739
O 8.1862 -3.4645 5.8488
O 12.2614 1.4275 7.5927
O 5.2236 4.0421 2.9961
O 3.4616 -1.6360 2.9711
O 2.7602 1.0607 1.7236
O 8.5462 2.0697 6.3945
O 8.0611 3.2468 2.7632
O 1.8958 -2.3042 4.7781
O 11.5601 4.1242 6.3453
O 7.0638 -1.9687 3.5662
O 12.4449 -0.8886 4.5317
O 13.9106 2.2177 5.7602
O 11.4758 2.9174 4.0564
O 4.3723 -2.8206 5.0182
O 4.9987 5.1658 5.9981
O 6.8900 8.2647 5.6424
O 8.7375 -0.0940 3.9597
O 6.2841 2.5823 5.3566
O 10.6493 5.3089 4.2982
O 1.1247 -0.8495 1.3405
O 10.0229 -2.6776 3.3182
F 9.3311 6.6580 2.4755
F 4.4244 1.7806 3.8264
F 10.5972 0.7077 5.4899
F 7.0167 -4.1930 1.9049
Fe 4.5182 3.6104 4.8223
Fe 6.3869 2.3198 3.3718
Fe 4.2189 -4.7177 5.4687
Fe 10.5034 -1.1221 4.4940
Fe 10.8028 7.2059 3.8476
Fe 8.6348 0.1684 5.9445
Fe 6.4321 -6.0142 2.7357
Fe 8.5896 8.5025 6.5806
Li 6.7471 6.1243 5.5805
Li 10.5772 2.4535 6.9719
Li 8.6015 4.9253 3.7833
Li 4.4444 0.0347 2.3444
Li 12.6046 1.2515 4.5310
Li 8.2746 -3.6360 3.7358
Li 6.4201 -2.4370 5.5330
Li 2.4170 1.2367 4.7853
CELL_PARAMETERS angstrom
-1.3261 0.0233 4.9359
7.8605 -7.3131 2.1463
8.4872 9.7781 2.2341
```

Entry 7:
Entry from the Materials Project: a relaxed structure of Mn2VO4 (GGA+U). Values from VASP.

Computed properties:
Polymorph energy (0 for the lowest one), meV/atom: 0.9

Cell and atoms, written as Quantum ESPRESSO input:
```
&SYSTEM
  ibrav = 0, nat = 56, ntyp = 3
/
ATOMIC_SPECIES
V 50.94 V.upf
O 16.00 O.upf
Mn 54.94 Mn.upf
ATOMIC_POSITIONS angstrom
V 1.0662 2.4632 10.8187
V 3.4740 2.4815 9.3986
V 0.8228 0.6147 1.6125
V 6.0881 2.4920 7.8722
V 6.5816 2.4563 26.1936
V 3.7388 2.3947 15.5700
V 1.2868 2.3870 16.9983
V 3.9637 2.3280 21.7318
O 2.0970 1.2417 18.4008
O 2.0968 1.2216 15.6070
O 1.9014 1.3072 9.3793
O 5.2394 3.5613 9.2622
O 5.4603 3.4764 15.4595
O 1.9267 1.3402 12.1556
O 4.4755 1.4007 7.9391
O 2.1626 0.9642 24.9989
O 4.3261 1.3542 10.7476
O 4.9044 1.2399 20.3259
O 5.5053 3.5327 12.6919
O 2.5818 3.8614 4.7151
O 2.9848 3.4049 23.1848
O 5.6664 3.3952 21.6457
O 4.5175 1.2696 16.9578
O 4.6954 1.3129 14.1346
O 3.0165 3.5127 14.1614
O 5.9048 3.4196 27.7089
O 2.8228 3.6086 7.9342
O 1.7932 1.4472 5.8753
O 5.1260 1.2169 26.3601
O 2.9128 3.5297 17.0204
O 1.6473 1.2181 3.0964
O 5.4162 3.5983 6.4536
O 3.2085 3.4308 20.3671
O 3.2782 3.5091 26.3816
O 4.6142 1.2125 23.1779
O 2.7227 3.6300 10.8018
O 5.6990 3.4504 18.8972
O 5.8132 3.4817 24.9627
O 2.2208 1.2441 21.8616
O 4.4909 1.2042 4.7146
Mn 1.2126 0.4964 20.1285
Mn 1.0952 0.5841 13.8705
Mn 4.7849 4.8601 20.2061
Mn 3.9041 2.3096 24.8419
Mn 6.4510 4.2560 17.1474
Mn 4.5976 4.9263 14.0060
Mn 3.8949 2.3426 18.6645
Mn 4.0371 2.3125 27.8974
Mn 3.7126 2.4231 12.4731
Mn 3.5617 2.5233 6.2593
Mn 3.0249 -0.1771 23.3191
Mn 6.2576 4.3332 10.9504
Mn 4.4336 4.9895 7.7695
Mn 6.7343 4.1810 29.4716
Mn 0.9122 0.6819 7.6338
Mn 6.6882 4.2309 23.2342
CELL_PARAMETERS angstrom
5.3334 -0.0547 3.1927
1.7848 5.0481 3.0913
0.4372 -0.1886 24.7861
```

Entry 8:
Entry from the Materials Project: a relaxed structure of Mg6TiFeO8 (GGA+U). Values from VASP.

Computed properties:
Polymorph energy (0 for the lowest one), meV/atom: 0.0

Cell and atoms, written as Quantum ESPRESSO input:
```
&SYSTEM
  ibrav = 0, nat = 16, ntyp = 4
/
ATOMIC_SPECIES
O 16.00 O.upf
Mg 24.30 Mg.upf
Fe 55.84 Fe.upf
Ti 47.87 Ti.upf
ATOMIC_POSITIONS angstrom
O 2.1819 0.0000 0.0000
O 6.4103 2.1504 2.1504
O 2.2029 2.1504 2.1504
O 6.4312 0.0000 0.0000
O 0.0000 0.0000 2.1504
O 4.3066 2.1504 0.0000
O 0.0000 2.1504 0.0000
O 4.3066 0.0000 2.1504
Mg 6.4372 0.0000 2.1504
Mg 2.1760 2.1504 0.0000
Mg 6.4372 2.1504 0.0000
Mg 4.3066 2.1504 2.1504
Mg 2.1760 0.0000 2.1504
Mg 4.3066 0.0000 0.0000
Fe 0.0000 0.0000 0.0000
Ti 0.0000 2.1504 2.1504
CELL_PARAMETERS angstrom
8.6132 0.0000 0.0000
0.0000 4.3008 0.0000
0.0000 0.0000 4.3008
```